[1]
A geometry-optimized Nb2Si2SO12 structure. Source: the Materials Project, functional PBE.

Lattice parameters (Å, degrees): 8.9227 8.9351 22.9788 90.56 90.00 119.95
Element x y z (fractional)
Nb (0.0029, 0.0086, 0.3578)
Nb (0.0057, 0.0086, 0.8578)
Nb (0.9879, 0.0088, 0.6423)
Nb (0.0209, 0.0088, 0.1423)
Nb (0.6696, 0.3419, 0.6912)
Nb (0.6723, 0.3419, 0.1912)
Nb (0.6546, 0.3422, 0.9756)
Nb (0.6876, 0.3422, 0.4756)
Nb (0.3362, 0.6752, 0.0245)
Nb (0.3390, 0.6752, 0.5245)
Nb (0.3212, 0.6755, 0.3089)
Nb (0.3542, 0.6755, 0.8089)
Si (0.2890, 0.0073, 0.2505)
Si (0.0010, 0.2838, 0.2500)
Si (0.2828, 0.2838, 0.7500)
Si (0.7183, 0.0073, 0.7505)
Si (0.9557, 0.3406, 0.5839)
Si (0.6677, 0.6172, 0.5833)
Si (0.9495, 0.6172, 0.0833)
Si (0.3849, 0.3406, 0.0839)
Si (0.6224, 0.6740, 0.9172)
Si (0.3343, 0.9505, 0.9167)
Si (0.6161, 0.9505, 0.4167)
Si (0.0516, 0.6740, 0.4172)
S (0.7131, 0.7164, 0.2503)
S (0.0033, 0.7164, 0.7503)
S (0.3798, 0.0498, 0.5836)
S (0.6700, 0.0498, 0.0836)
S (0.0465, 0.3831, 0.9169)
S (0.3366, 0.3831, 0.4169)
O (0.1913, 0.0292, 0.3067)
O (0.8228, 0.7928, 0.3028)
O (0.9707, 0.1629, 0.3069)
O (0.1922, 0.1629, 0.8069)
O (0.9700, 0.7928, 0.8028)
O (0.8379, 0.0292, 0.8067)
O (0.8042, 0.9688, 0.6929)
O (0.1628, 0.1855, 0.6930)
O (0.0306, 0.8193, 0.6980)
O (0.7888, 0.8193, 0.1980)
O (0.0228, 0.1855, 0.1930)
O (0.1646, 0.9688, 0.1929)
O (0.8580, 0.3625, 0.6400)
O (0.4895, 0.1261, 0.6362)
O (0.6374, 0.4963, 0.6403)
O (0.8589, 0.4963, 0.1403)
O (0.6366, 0.1261, 0.1362)
O (0.5046, 0.3625, 0.1400)
O (0.4709, 0.3022, 0.0262)
O (0.8294, 0.5189, 0.0263)
O (0.6972, 0.1527, 0.0313)
O (0.4554, 0.1527, 0.5313)
O (0.6894, 0.5189, 0.5263)
O (0.8313, 0.3022, 0.5262)
O (0.5246, 0.6959, 0.9734)
O (0.1561, 0.4594, 0.9695)
O (0.3040, 0.8296, 0.9736)
O (0.5256, 0.8296, 0.4736)
O (0.3033, 0.4594, 0.4695)
O (0.1712, 0.6959, 0.4734)
O (0.1375, 0.6355, 0.3596)
O (0.4961, 0.8522, 0.3596)
O (0.3639, 0.4860, 0.3647)
O (0.1221, 0.4860, 0.8647)
O (0.3561, 0.8522, 0.8596)
O (0.4980, 0.6355, 0.8596)
O (0.0256, 0.8377, 0.4043)
O (0.8085, 0.9756, 0.4047)
O (0.1778, 0.2075, 0.4096)
O (0.0297, 0.2075, 0.9096)
O (0.1671, 0.9756, 0.9047)
O (0.8121, 0.8377, 0.9043)
O (0.9753, 0.1681, 0.5923)
O (0.2044, 0.0228, 0.5925)
O (0.8404, 0.8048, 0.5953)
O (0.9644, 0.8048, 0.0953)
O (0.8184, 0.0228, 0.0925)
O (0.1928, 0.1681, 0.0923)
O (0.6923, 0.1711, 0.7376)
O (0.4751, 0.3089, 0.7380)
O (0.8445, 0.5408, 0.7430)
O (0.6963, 0.5408, 0.2430)
O (0.8338, 0.3089, 0.2380)
O (0.4788, 0.1711, 0.2376)
O (0.6419, 0.5014, 0.9257)
O (0.8711, 0.3561, 0.9258)
O (0.5071, 0.1381, 0.9286)
O (0.6311, 0.1381, 0.4286)
O (0.4850, 0.3561, 0.4258)
O (0.8595, 0.5014, 0.4257)
O (0.3590, 0.5044, 0.0710)
O (0.1418, 0.6423, 0.0714)
O (0.5112, 0.8742, 0.0763)
O (0.3630, 0.8742, 0.5763)
O (0.5005, 0.6423, 0.5714)
O (0.1454, 0.5044, 0.5710)
O (0.3086, 0.8347, 0.2590)
O (0.5378, 0.6895, 0.2592)
O (0.1738, 0.4715, 0.2620)
O (0.2977, 0.4715, 0.7620)
O (0.1517, 0.6895, 0.7592)
O (0.5261, 0.8347, 0.7590)

Output
E (eV/cell): -804.255


[2]
A geometry-optimized MgPt7 structure. Source: the Materials Project, functional PBE.

Lattice parameters (Å, degrees): 5.6185 5.6185 5.6185 60.00 60.00 60.00
Element x y z (fractional)
Mg (0.0000, 0.0000, 0.0000)
Pt (0.5000, 0.0000, 0.0000)
Pt (0.0000, 0.5000, 0.5000)
Pt (0.0000, 0.5000, 0.0000)
Pt (0.5000, 0.0000, 0.5000)
Pt (0.0000, 0.0000, 0.5000)
Pt (0.5000, 0.5000, 0.0000)
Pt (0.5000, 0.5000, 0.5000)

Output
E (eV/cell): -46.475
Space-group type: No. 225


[3]
A geometry-optimized W6CCl18 structure. Source: the Materials Project, functional PBE.

Lattice parameters (Å, degrees): 9.4084 9.4084 18.3367 90.00 90.00 120.00
Element x y z (fractional)
W (0.5107, 0.1533, 0.8303)
W (0.8467, 0.3574, 0.8303)
W (0.6426, 0.4893, 0.8303)
W (0.4893, 0.6426, 0.1697)
W (0.6426, 0.4893, 0.6697)
W (0.5107, 0.1533, 0.6697)
W (0.8467, 0.3574, 0.6697)
W (0.1533, 0.5107, 0.3303)
W (0.3574, 0.8467, 0.3303)
W (0.3574, 0.8467, 0.1697)
W (0.1533, 0.5107, 0.1697)
W (0.4893, 0.6426, 0.3303)
C (0.6667, 0.3333, 0.7500)
C (0.3333, 0.6667, 0.2500)
Cl (0.6960, 0.1420, 0.9168)
Cl (0.8580, 0.5540, 0.9168)
Cl (0.4460, 0.3040, 0.9168)
Cl (0.3040, 0.4460, 0.0832)
Cl (0.4460, 0.3040, 0.5832)
Cl (0.6960, 0.1420, 0.5832)
Cl (0.8580, 0.5540, 0.5832)
Cl (0.1420, 0.6960, 0.4168)
Cl (0.5540, 0.8580, 0.4168)
Cl (0.5540, 0.8580, 0.0832)
Cl (0.4737, 0.4285, 0.2500)
Cl (0.9549, 0.5263, 0.2500)
Cl (0.5715, 0.0451, 0.2500)
Cl (0.0451, 0.5715, 0.7500)
Cl (0.5263, 0.9549, 0.7500)
Cl (0.4285, 0.4737, 0.7500)
Cl (0.7145, 0.8258, 0.2500)
Cl (0.1113, 0.2855, 0.2500)
Cl (0.1742, 0.8887, 0.2500)
Cl (0.8887, 0.1742, 0.7500)
Cl (0.2855, 0.1113, 0.7500)
Cl (0.8258, 0.7145, 0.7500)
Cl (0.6968, 0.6115, 0.3921)
Cl (0.9147, 0.3032, 0.1079)
Cl (0.3885, 0.0853, 0.1079)
Cl (0.3885, 0.0853, 0.3921)
Cl (0.9147, 0.3032, 0.3921)
Cl (0.0853, 0.3885, 0.6079)
Cl (0.3032, 0.9147, 0.6079)
Cl (0.6115, 0.6968, 0.6079)
Cl (0.6968, 0.6115, 0.1079)
Cl (0.6115, 0.6968, 0.8921)
Cl (0.0853, 0.3885, 0.8921)
Cl (0.3032, 0.9147, 0.8921)
Cl (0.3040, 0.4460, 0.4168)
Cl (0.1420, 0.6960, 0.0832)

Output
E (eV/cell): -281.119
Space-group type: No. 190